1.
! PBE Na2MgS2O12, relaxed; values from VASP
&SYSTEM
  ibrav = 0, nat = 34, ntyp = 4
/
ATOMIC_SPECIES
S 32.06 S.upf
Mg 24.30 Mg.upf
Na 22.99 Na.upf
O 16.00 O.upf
CELL_PARAMETERS angstrom
2.398 -2.528 -3.574
-2.088 6.065 -5.690
10.736 5.477 1.898
ATOMIC_POSITIONS crystal
S 0.536 0.789 0.908
Mg 0.000 0.000 0.000
S 0.464 0.211 0.092
Na 0.664 0.891 0.617
O 0.753 0.166 0.068
O 0.247 0.834 0.932
O 0.097 0.645 0.757
O 0.442 0.117 0.591
O 0.903 0.355 0.243
Na 0.336 0.391 0.883
O 0.097 0.690 0.660
O 0.558 0.617 0.909
O 0.647 0.641 0.304
O 0.247 0.666 0.432
O 0.753 0.334 0.568
O 0.558 0.883 0.409
O 0.903 0.145 0.743
O 0.903 0.190 0.840
Mg 0.000 0.500 0.500
Na 0.336 0.109 0.383
O 0.097 0.855 0.257
O 0.309 0.347 0.498
O 0.097 0.810 0.160
O 0.647 0.859 0.804
O 0.442 0.383 0.091
O 0.353 0.359 0.696
O 0.903 0.310 0.340
O 0.353 0.141 0.196
Na 0.664 0.609 0.117
S 0.464 0.289 0.592
S 0.536 0.711 0.408
O 0.691 0.653 0.502
O 0.309 0.153 0.998
O 0.691 0.847 0.002
! ΔH_f (0 K): -1.463 eV per atom
! MP2020-corrected energy: -0.4183 Ry per atom
! calculated total energy: -189.65 eV for the cell shown
! volume: 520.3 Å³ per cell

=====

2.
! PBE Mg5Pt, relaxed; values from VASP
&SYSTEM
  ibrav = 0, nat = 6, ntyp = 2
/
ATOMIC_SPECIES
Mg 24.30 Mg.upf
Pt 195.08 Pt.upf
CELL_PARAMETERS angstrom
2.716 -4.681 1.099
4.987 -2.325 0.469
2.027 -0.059 7.085
ATOMIC_POSITIONS crystal
Mg 0.355 0.355 0.855
Mg 0.661 0.661 0.703
Mg 0.339 0.339 0.297
Pt 0.000 0.000 0.000
Mg 0.000 0.000 0.500
Mg 0.645 0.645 0.145
! ΔH_f (0 K): -0.305 eV per atom
! calculated total energy: -15.90 eV for the cell shown
! volume: 121.1 Å³ per cell

=====

3.
! PBE TmCo5P3, relaxed; values from VASP
&SYSTEM
  ibrav = 0, nat = 36, ntyp = 3
/
ATOMIC_SPECIES
Co 58.93 Co.upf
P 30.97 P.upf
Tm 168.93 Tm.upf
CELL_PARAMETERS angstrom
3.629 0.000 0.000
0.000 10.260 0.000
0.000 0.000 11.690
ATOMIC_POSITIONS crystal
Co 0.750 0.383 0.801
Co 0.750 0.117 0.301
Co 0.250 0.407 0.487
Co 0.250 0.033 0.431
P 0.250 0.601 0.390
Co 0.750 0.721 0.324
Co 0.750 0.593 0.513
P 0.250 0.269 0.870
P 0.750 0.731 0.130
Co 0.250 0.221 0.176
P 0.750 0.582 0.887
Tm 0.750 0.417 0.297
Co 0.750 0.533 0.069
P 0.750 0.769 0.630
Co 0.750 0.907 0.013
Co 0.750 0.283 0.010
Co 0.250 0.617 0.199
P 0.250 0.418 0.113
Tm 0.250 0.583 0.703
Co 0.750 0.217 0.510
P 0.250 0.899 0.890
P 0.750 0.918 0.387
P 0.750 0.101 0.110
Co 0.250 0.883 0.699
Tm 0.750 0.083 0.797
Co 0.250 0.783 0.490
Co 0.250 0.467 0.931
Co 0.250 0.717 0.990
Co 0.750 0.967 0.569
Co 0.250 0.093 0.987
Co 0.250 0.279 0.676
P 0.250 0.231 0.370
P 0.250 0.082 0.613
Co 0.750 0.779 0.824
Tm 0.250 0.917 0.203
P 0.750 0.399 0.610
! ΔH_f (0 K): -0.854 eV per atom
! calculated total energy: -255.79 eV for the cell shown
! volume: 435.3 Å³ per cell

=====

4.
! PBE Lu3Ga5Co, relaxed; values from VASP
&SYSTEM
  ibrav = 0, nat = 9, ntyp = 3
/
ATOMIC_SPECIES
Ga 69.72 Ga.upf
Lu 174.97 Lu.upf
Co 58.93 Co.upf
CELL_PARAMETERS angstrom
0.938 6.726 -0.416
-6.229 -2.621 -0.789
-0.666 0.347 4.104
ATOMIC_POSITIONS crystal
Ga 0.000 0.232 0.500
Ga 0.667 0.333 0.500
Lu 0.592 0.000 0.000
Ga 0.768 0.768 0.500
Lu 0.408 0.408 0.000
Lu 0.000 0.592 0.000
Co 0.000 0.000 0.000
Ga 0.232 0.000 0.500
Ga 0.333 0.667 0.500
! ΔH_f (0 K): -0.616 eV per atom
! calculated total energy: -41.36 eV for the cell shown
! volume: 167.3 Å³ per cell

=====

5.
! PBE KAlBP2O9, relaxed; values from VASP
&SYSTEM
  ibrav = 0, nat = 56, ntyp = 5
/
ATOMIC_SPECIES
P 30.97 P.upf
O 16.00 O.upf
K 39.10 K.upf
Al 26.98 Al.upf
B 10.81 B.upf
CELL_PARAMETERS angstrom
4.609 6.890 -0.025
6.423 -4.277 5.348
2.881 -1.959 -8.761
ATOMIC_POSITIONS crystal
P 0.566 0.931 0.795
O 0.989 0.920 0.694
K 0.404 0.800 0.430
P 0.241 0.418 0.224
Al 0.348 0.207 0.935
K 0.596 0.200 0.570
O 0.160 0.109 0.848
B 0.057 0.666 0.307
O 0.042 0.705 0.464
O 0.132 0.340 0.312
B 0.943 0.334 0.693
O 0.835 0.920 0.430
P 0.759 0.582 0.776
O 0.221 0.352 0.062
Al 0.152 0.207 0.435
P 0.934 0.931 0.295
O 0.779 0.648 0.938
O 0.840 0.891 0.152
O 0.922 0.585 0.228
O 0.368 0.340 0.812
O 0.721 0.648 0.438
O 0.165 0.080 0.570
O 0.335 0.080 0.070
O 0.793 0.414 0.741
O 0.078 0.415 0.772
O 0.958 0.295 0.536
O 0.340 0.109 0.348
P 0.434 0.069 0.205
O 0.578 0.585 0.728
O 0.011 0.080 0.306
O 0.511 0.920 0.194
O 0.665 0.920 0.930
O 0.868 0.660 0.688
O 0.419 0.814 0.776
O 0.293 0.586 0.759
O 0.707 0.414 0.241
Al 0.848 0.793 0.565
O 0.489 0.080 0.806
B 0.443 0.666 0.807
O 0.458 0.705 0.964
P 0.066 0.069 0.705
P 0.259 0.418 0.724
K 0.096 0.800 0.930
O 0.919 0.186 0.724
O 0.422 0.415 0.272
K 0.904 0.200 0.070
O 0.279 0.352 0.562
Al 0.652 0.793 0.065
O 0.207 0.586 0.259
O 0.081 0.814 0.276
O 0.542 0.295 0.036
O 0.581 0.186 0.224
P 0.741 0.582 0.276
O 0.632 0.660 0.188
B 0.557 0.334 0.193
O 0.660 0.891 0.652
! ΔH_f (0 K): -2.767 eV per atom
! MP2020-corrected energy: -0.5546 Ry per atom
! calculated total energy: -397.81 eV for the cell shown
! volume: 714.8 Å³ per cell

=====

6.
! PBE EuGe2Pt2, relaxed; values from VASP
&SYSTEM
  ibrav = 0, nat = 20, ntyp = 3
/
ATOMIC_SPECIES
Ge 72.64 Ge.upf
Pt 195.08 Pt.upf
Eu 151.96 Eu.upf
CELL_PARAMETERS angstrom
4.723 0.000 0.000
0.000 9.374 0.000
0.000 0.226 10.299
ATOMIC_POSITIONS crystal
Ge 0.189 0.392 0.618
Pt 0.324 0.641 0.500
Pt 0.824 0.859 0.500
Pt 0.176 0.141 0.500
Ge 0.811 0.608 0.382
Ge 0.236 0.126 0.001
Ge 0.311 0.892 0.618
Pt 0.237 0.379 0.875
Eu 0.742 0.130 0.755
Eu 0.758 0.630 0.755
Ge 0.736 0.374 0.999
Pt 0.676 0.359 0.500
Ge 0.264 0.626 0.001
Pt 0.763 0.621 0.125
Eu 0.242 0.370 0.245
Eu 0.258 0.870 0.245
Pt 0.737 0.121 0.125
Ge 0.764 0.874 0.999
Pt 0.263 0.879 0.875
Ge 0.689 0.108 0.382
! ΔH_f (0 K): -0.729 eV per atom
! calculated total energy: -141.15 eV for the cell shown
! volume: 455.9 Å³ per cell

=====

7.
! PBE K3Pd, relaxed; values from VASP
&SYSTEM
  ibrav = 0, nat = 4, ntyp = 2
/
ATOMIC_SPECIES
K 39.10 K.upf
Pd 106.42 Pd.upf
CELL_PARAMETERS angstrom
-2.307 -1.636 -4.653
-4.450 -1.525 2.743
-2.127 4.964 -0.691
ATOMIC_POSITIONS crystal
K 0.500 0.500 0.000
K 0.500 0.000 0.500
Pd 0.000 0.000 0.000
K 0.000 0.500 0.500
! ΔH_f (0 K): 0.203 eV per atom
! calculated total energy: -7.70 eV for the cell shown
! volume: 161.4 Å³ per cell

=====

8.
! PBE NbRh, relaxed; values from VASP
&SYSTEM
  ibrav = 0, nat = 4, ntyp = 2
/
ATOMIC_SPECIES
Rh 102.91 Rh.upf
Nb 92.91 Nb.upf
CELL_PARAMETERS angstrom
-1.351 1.904 1.618
-3.789 -0.515 -2.558
-1.526 -3.624 2.990
ATOMIC_POSITIONS crystal
Rh 0.500 0.250 0.313
Rh 0.500 0.750 0.687
Nb 0.000 0.750 0.195
Nb 0.000 0.250 0.805
! ΔH_f (0 K): -0.378 eV per atom
! calculated total energy: -36.44 eV for the cell shown
! volume: 64.5 Å³ per cell

=====

9.
! PBE Rb2LiVCl6, relaxed; values from VASP
&SYSTEM
  ibrav = 0, nat = 10, ntyp = 4
/
ATOMIC_SPECIES
Rb 85.47 Rb.upf
Cl 35.45 Cl.upf
V 50.94 V.upf
Li 6.94 Li.upf
CELL_PARAMETERS angstrom
3.563 -6.171 0.000
3.563 6.171 0.000
0.000 0.000 6.076
ATOMIC_POSITIONS crystal
Rb 0.333 0.667 0.243
Cl 0.686 0.843 0.732
Cl 0.843 0.157 0.268
Cl 0.157 0.843 0.732
Cl 0.157 0.314 0.732
Cl 0.314 0.157 0.268
V 0.000 0.000 0.500
Cl 0.843 0.686 0.268
Rb 0.667 0.333 0.757
Li 0.000 0.000 0.000
! ΔH_f (0 K): -2.043 eV per atom
! MP2020-corrected energy: -0.3269 Ry per atom
! calculated total energy: -40.80 eV for the cell shown
! volume: 267.1 Å³ per cell

=====

10.
! PBE Tm2Ga8Co, relaxed; values from VASP
&SYSTEM
  ibrav = 0, nat = 11, ntyp = 3
/
ATOMIC_SPECIES
Ga 69.72 Ga.upf
Co 58.93 Co.upf
Tm 168.93 Tm.upf
CELL_PARAMETERS angstrom
-1.079 -1.677 3.722
4.046 0.072 1.206
-1.412 10.086 4.135
ATOMIC_POSITIONS crystal
Ga 0.500 0.000 0.117
Ga 0.500 0.500 0.691
Ga 0.000 0.500 0.117
Co 0.000 0.000 0.000
Tm 0.000 0.000 0.695
Ga 0.500 0.000 0.500
Ga 0.500 0.500 0.309
Ga 0.000 0.500 0.500
Ga 0.500 0.000 0.883
Tm 0.000 0.000 0.305
Ga 0.000 0.500 0.883
! ΔH_f (0 K): -0.472 eV per atom
! calculated total energy: -45.48 eV for the cell shown
! volume: 196.0 Å³ per cell

=====

11.
! PBE Mg3B2Rh5, relaxed; values from VASP
&SYSTEM
  ibrav = 0, nat = 20, ntyp = 3
/
ATOMIC_SPECIES
Rh 102.91 Rh.upf
Mg 24.30 Mg.upf
B 10.81 B.upf
CELL_PARAMETERS angstrom
-6.970 -6.357 1.360
6.051 -5.616 4.761
-0.736 1.348 2.526
ATOMIC_POSITIONS crystal
Rh 0.500 0.000 0.500
Mg 0.323 0.823 0.000
Rh 0.721 0.429 0.500
Rh 0.429 0.279 0.500
Rh 0.221 0.071 0.500
Rh 0.779 0.929 0.500
Rh 0.279 0.571 0.500
B 0.126 0.626 0.000
Rh 0.071 0.779 0.500
Rh 0.571 0.721 0.500
B 0.374 0.126 0.000
Mg 0.823 0.677 0.000
Mg 0.000 0.000 0.000
Mg 0.177 0.323 0.000
Rh 0.929 0.221 0.500
B 0.626 0.874 0.000
Mg 0.677 0.177 0.000
B 0.874 0.374 0.000
Mg 0.500 0.500 0.000
Rh 0.000 0.500 0.500
! ΔH_f (0 K): -0.563 eV per atom
! calculated total energy: -121.22 eV for the cell shown
! volume: 268.5 Å³ per cell

=====

12.
! PBE CaCuP4Ru2O14, relaxed; values from VASP
&SYSTEM
  ibrav = 0, nat = 22, ntyp = 5
/
ATOMIC_SPECIES
O 16.00 O.upf
P 30.97 P.upf
Ru 101.07 Ru.upf
Cu 63.55 Cu.upf
Ca 40.08 Ca.upf
CELL_PARAMETERS angstrom
-1.314 -0.406 -4.816
-5.843 1.093 3.875
1.543 8.196 -0.773
ATOMIC_POSITIONS crystal
O 0.392 0.225 0.061
P 0.620 0.265 0.194
P 0.399 0.746 0.831
Ru 0.016 0.003 0.006
O 0.280 0.582 0.335
O 0.164 0.835 0.171
O 0.817 0.487 0.166
O 0.193 0.525 0.860
O 0.171 0.303 0.606
Cu 0.796 0.936 0.326
Ru 0.521 0.511 0.510
P 0.993 0.347 0.742
O 0.488 0.754 0.654
O 0.886 0.723 0.417
O 0.737 0.400 0.681
Ca 0.403 0.069 0.606
O 0.636 0.780 0.958
P 0.051 0.660 0.275
O 0.814 0.131 0.183
O 0.875 0.160 0.834
O 0.526 0.259 0.368
O 0.223 0.891 0.834
! ΔH_f (0 K): -2.193 eV per atom
! MP2020-corrected energy: -0.5473 Ry per atom
! calculated total energy: -154.20 eV for the cell shown
! volume: 281.0 Å³ per cell

=====

13.
! PBE NaY4PS5O24, relaxed; values from VASP
&SYSTEM
  ibrav = 0, nat = 105, ntyp = 5
/
ATOMIC_SPECIES
O 16.00 O.upf
S 32.06 S.upf
Y 88.91 Y.upf
P 30.97 P.upf
Na 22.99 Na.upf
CELL_PARAMETERS angstrom
9.237 0.007 0.000
-4.613 8.003 -0.001
0.000 -0.002 24.053
ATOMIC_POSITIONS crystal
O 0.118 0.476 0.866
O 0.818 0.023 0.090
O 0.178 0.980 0.910
O 0.452 0.305 0.034
O 0.124 0.643 0.076
S 0.041 0.375 0.917
O 0.023 0.814 0.409
Y 0.998 0.006 0.353
O 0.205 0.181 0.090
O 0.790 0.979 0.699
O 0.214 0.186 0.800
O 0.306 0.852 0.969
P 0.997 0.291 0.251
S 0.293 0.001 0.250
Na 0.999 0.995 0.998
Y 0.660 0.333 0.979
O 0.977 0.795 0.090
Y 0.341 0.673 0.816
S 0.292 0.293 0.750
O 0.544 0.856 0.467
O 0.311 0.455 0.467
S 0.960 0.627 0.083
S 0.624 0.958 0.416
S 0.374 0.334 0.083
O 0.124 0.482 0.575
Y 0.673 0.334 0.185
O 0.143 0.451 0.967
O 0.879 0.360 0.633
O 0.853 0.547 0.033
O 0.787 0.809 0.200
O 0.023 0.206 0.910
O 0.640 0.519 0.633
O 0.152 0.463 0.259
O 0.644 0.121 0.133
O 0.872 0.356 0.923
O 0.690 0.152 0.743
O 0.814 0.785 0.300
O 0.492 0.135 0.923
O 0.476 0.355 0.134
P 0.625 0.667 0.917
O 0.543 0.853 0.756
O 0.214 0.027 0.301
O 0.190 0.976 0.200
O 0.815 0.791 0.592
P 0.334 0.959 0.917
S 0.667 0.041 0.083
O 0.120 0.639 0.367
O 0.643 0.128 0.424
O 0.461 0.310 0.743
O 0.689 0.538 0.244
O 0.309 0.457 0.757
O 0.022 0.810 0.700
O 0.358 0.877 0.864
Y 0.666 0.333 0.686
S 0.708 0.000 0.750
O 0.976 0.185 0.592
O 0.518 0.643 0.575
O 0.312 0.854 0.258
O 0.647 0.511 0.923
O 0.147 0.688 0.757
Y 0.339 0.674 0.018
O 0.023 0.208 0.199
S 0.334 0.376 0.416
O 0.840 0.310 0.244
O 0.519 0.640 0.864
S 0.667 0.625 0.583
O 0.187 0.209 0.409
O 0.544 0.691 0.969
Y 0.000 0.993 0.855
O 0.454 0.147 0.533
O 0.520 0.876 0.077
Y 0.667 0.333 0.482
O 0.144 0.689 0.467
Y 0.333 0.667 0.521
O 0.853 0.307 0.534
O 0.695 0.147 0.033
O 0.879 0.524 0.133
O 0.355 0.480 0.076
O 0.971 0.784 0.799
S 0.042 0.667 0.416
O 0.693 0.546 0.533
O 0.848 0.538 0.742
Y 0.328 0.661 0.309
Na 0.671 0.333 0.331
O 0.814 0.029 0.799
S 0.959 0.333 0.583
Na 0.661 0.333 0.837
S 0.001 0.707 0.750
O 0.362 0.481 0.367
O 0.790 0.976 0.410
O 0.358 0.876 0.575
O 0.481 0.121 0.633
O 0.189 0.211 0.700
S 0.709 0.708 0.250
S 0.375 0.042 0.583
O 0.486 0.357 0.424
O 0.872 0.515 0.424
O 0.543 0.691 0.258
O 0.209 0.024 0.591
O 0.519 0.880 0.367
O 0.971 0.181 0.302
O 0.801 0.824 0.910
Y 0.000 0.000 0.647
O 0.461 0.153 0.244
Y 0.002 0.008 0.149
! ΔH_f (0 K): -2.730 eV per atom
! MP2020-corrected energy: -0.5619 Ry per atom
! calculated total energy: -753.27 eV for the cell shown
! volume: 1778.8 Å³ per cell